(1)
! PBE HfO2, optimized geometry; values from VASP
! E ... -10.155 eV/atom
! Volume ... 76.1 Å³ per cell
! ΔE_f ... -3.995 eV per atom
! SG ... No. 136
&SYSTEM
  ibrav = 0, nat = 6, ntyp = 2
/
ATOMIC_SPECIES
Hf 178.49 Hf.upf
O 16.00 O.upf
CELL_PARAMETERS angstrom
4.859 0.000 0.000
0.000 4.859 0.000
0.000 0.000 3.225
ATOMIC_POSITIONS crystal
Hf 0.500 0.500 0.500
Hf 0.000 0.000 0.000
O 0.195 0.805 0.500
O 0.805 0.195 0.500
O 0.695 0.695 0.000
O 0.305 0.305 0.000

(2)
! PBE Ca2Se3O8, optimized geometry; values from VASP
! E ... -5.810 eV/atom
! Volume ... 411.4 Å³ per cell
! ΔE_f ... -2.073 eV per atom
! SG ... No. 2
&SYSTEM
  ibrav = 0, nat = 26, ntyp = 3
/
ATOMIC_SPECIES
Ca 40.08 Ca.upf
O 16.00 O.upf
Se 78.96 Se.upf
CELL_PARAMETERS angstrom
-4.901 -2.526 0.999
4.960 -5.947 3.255
0.091 4.779 7.478
ATOMIC_POSITIONS crystal
Ca 0.708 0.838 0.039
Ca 0.758 0.044 0.652
Ca 0.242 0.956 0.348
Ca 0.292 0.162 0.961
O 0.495 0.477 0.686
O 0.550 0.819 0.477
O 0.452 0.927 0.822
O 0.871 0.765 0.279
O 0.010 0.080 0.140
O 0.914 0.130 0.416
O 0.990 0.920 0.860
O 0.548 0.073 0.178
O 0.747 0.575 0.961
O 0.450 0.181 0.523
O 0.129 0.235 0.721
O 0.253 0.425 0.039
O 0.505 0.523 0.314
O 0.322 0.745 0.130
O 0.678 0.255 0.870
O 0.086 0.870 0.584
Se 0.275 0.320 0.579
Se 0.175 0.811 0.762
Se 0.825 0.189 0.238
Se 0.725 0.680 0.421
Se 0.229 0.557 0.183
Se 0.771 0.443 0.817

(3)
! PBE Dy5Si3C, optimized geometry; values from VASP
! Total magnetic moment ... 0.049 μB per formula unit
! E ... -5.998 eV/atom
! Volume ... 396.0 Å³ per cell
! ΔE_f ... -0.605 eV per atom
! SG ... No. 193
&SYSTEM
  ibrav = 0, nat = 18, ntyp = 3
/
ATOMIC_SPECIES
Si 28.09 Si.upf
Dy 162.50 Dy.upf
C 12.01 C.upf
CELL_PARAMETERS angstrom
8.464 0.000 0.000
-4.232 7.330 0.000
0.000 0.000 6.382
ATOMIC_POSITIONS crystal
Si 0.000 0.593 0.750
Si 0.593 0.593 0.250
Si 0.407 0.407 0.750
Si 0.000 0.407 0.250
Si 0.407 0.000 0.250
Si 0.593 0.000 0.750
Dy 0.776 0.776 0.750
Dy 0.224 0.000 0.750
Dy 0.333 0.667 0.000
Dy 0.224 0.224 0.250
Dy 0.667 0.333 0.000
Dy 0.000 0.776 0.250
Dy 0.000 0.224 0.750
Dy 0.333 0.667 0.500
Dy 0.776 0.000 0.250
Dy 0.667 0.333 0.500
C 0.000 0.000 0.500
C 0.000 0.000 0.000

(4)
! PBE Ge7HO20, optimized geometry; values from VASP
! Total magnetic moment ... 11.077 μB per formula unit
! E ... -5.372 eV/atom
! Volume ... 487.0 Å³ per cell
! ΔE_f ... -1.052 eV per atom
! SG ... No. 215
&SYSTEM
  ibrav = 0, nat = 28, ntyp = 3
/
ATOMIC_SPECIES
O 16.00 O.upf
Ge 72.64 Ge.upf
H 1.01 H.upf
CELL_PARAMETERS angstrom
-4.368 -5.763 -3.100
1.469 -4.495 6.287
-6.376 2.912 3.572
ATOMIC_POSITIONS crystal
O 0.805 0.195 0.195
O 0.610 0.390 0.390
O 0.366 0.882 0.634
O 0.390 0.390 0.610
O 0.118 0.634 0.634
O 0.195 0.805 0.195
O 0.805 0.805 0.805
O 0.634 0.118 0.634
O 0.195 0.195 0.805
O 0.366 0.634 0.882
O 0.882 0.634 0.366
O 0.366 0.118 0.366
O 0.610 0.610 0.610
O 0.118 0.366 0.366
O 0.634 0.634 0.118
O 0.882 0.366 0.634
O 0.634 0.882 0.366
O 0.390 0.610 0.390
O 0.366 0.366 0.118
O 0.634 0.366 0.882
Ge 0.000 0.500 0.500
Ge 0.500 0.000 0.500
Ge 0.656 0.344 0.656
Ge 0.344 0.656 0.656
Ge 0.500 0.500 0.000
Ge 0.656 0.656 0.344
Ge 0.344 0.344 0.344
H 0.500 0.500 0.500

(5)
! PBE In3As, optimized geometry; values from VASP
! Total magnetic moment ... 0.000 μB per formula unit
! E ... -3.142 eV/atom
! Volume ... 102.0 Å³ per cell
! ΔE_f ... 0.086 eV per atom
! SG ... No. 221
&SYSTEM
  ibrav = 0, nat = 4, ntyp = 2
/
ATOMIC_SPECIES
In 114.82 In.upf
As 74.92 As.upf
CELL_PARAMETERS angstrom
4.672 0.000 0.000
0.000 4.672 0.000
0.000 0.000 4.672
ATOMIC_POSITIONS crystal
In 0.500 0.000 0.500
In 0.000 0.500 0.500
In 0.500 0.500 0.000
As 0.000 0.000 0.000

(6)
! PBE U2Ni2Sn, optimized geometry; values from VASP
! Total magnetic moment ... 4.008 μB per formula unit
! E ... -7.748 eV/atom
! Volume ... 194.2 Å³ per cell
! ΔE_f ... -0.118 eV per atom
! SG ... No. 127
&SYSTEM
  ibrav = 0, nat = 10, ntyp = 3
/
ATOMIC_SPECIES
Ni 58.69 Ni.upf
U 238.03 U.upf
Sn 118.71 Sn.upf
CELL_PARAMETERS angstrom
-1.559 3.050 -6.212
-6.142 -3.544 -0.199
-1.735 2.902 1.860
ATOMIC_POSITIONS crystal
Ni 0.868 0.368 0.000
Ni 0.132 0.632 0.000
Ni 0.368 0.132 0.000
Ni 0.632 0.868 0.000
U 0.338 0.838 0.500
U 0.838 0.662 0.500
U 0.662 0.162 0.500
U 0.162 0.338 0.500
Sn 0.500 0.500 0.000
Sn 0.000 0.000 0.000